Na10Mg4Ta4Si7S5O48: relaxed, PBE.

## Properties
Calculated total energy = -6.8919 eV/atom
E_form = -2658.0 meV per atom
Space group = P1 (1)

```
234
Lattice="9.0357 0.0000 0.0000 0.0172 15.5164 0.0000 0.0355 0.1523 22.4302" Properties=species:S:1:pos:R:3 pbc="T T T"
Na 0.0000 0.0000 0.0000
Na 0.0206 5.2210 7.4527
Na 0.0422 10.4590 14.8737
Na 0.3676 10.2019 7.1001
Na 0.6413 0.1824 7.1406
Na 0.7129 5.3516 14.7118
Na 1.5145 13.0763 3.5366
Na 1.5691 8.0327 18.3386
Na 1.8658 2.5080 18.3161
Na 3.1548 10.6331 20.3894
Na 3.2451 5.3592 12.9122
Na 3.2882 15.5391 5.4564
Na 3.3842 15.5184 16.7386
Na 3.3706 5.2435 1.8242
Na 3.5677 10.6052 9.1987
Na 4.5501 2.7037 14.8802
Na 4.8328 2.4767 7.0992
Na 4.9092 12.9026 22.0779
Na 5.2337 2.8799 22.3135
Na 5.2443 13.1167 14.7082
Na 6.0095 5.3103 3.5735
Na 6.0494 0.3006 18.5209
Na 6.4209 10.2853 18.3151
Na 6.6964 10.3852 3.7086
Na 7.6691 7.7950 5.5803
Na 7.7746 2.9467 20.4317
Na 7.7674 13.1205 12.9045
Na 7.8963 7.7576 16.7281
Na 7.9546 2.7729 9.2765
Na 8.0103 12.9734 1.7927
Mg 3.2013 10.2754 1.1566
Mg 3.2894 5.2237 16.0841
Mg 3.3270 15.4241 8.6175
Mg 3.4437 5.1094 4.8692
Mg 3.4890 15.5270 19.8476
Mg 3.5067 10.3913 12.3407
Mg 7.7481 7.7072 8.6225
Mg 7.7877 2.5318 1.1643
Mg 7.8285 12.9646 16.0948
Mg 7.9553 7.7640 19.8332
Mg 7.9628 12.8989 4.8962
Mg 8.0179 2.6412 12.3480
Ta 3.3246 5.1241 9.5106
Ta 3.3718 10.2870 5.7947
Ta 3.3701 15.4551 2.0598
Ta 3.3956 10.4099 16.9635
Ta 3.4296 5.2205 20.6960
Ta 3.4584 15.5457 13.2384
Ta 7.8137 7.6815 2.0885
Ta 7.8238 12.8411 9.5019
Ta 7.8394 2.5334 5.7294
Ta 7.8995 2.6402 16.9788
Ta 7.9381 12.9346 20.7472
Ta 7.9571 7.7893 13.2369
Si 0.1267 0.2786 3.3454
Si 0.1551 5.4744 10.8166
Si 0.2097 10.7258 18.3291
Si 0.7000 5.2730 18.3445
Si 0.7282 10.3265 3.4051
Si 1.4970 2.6336 14.6029
Si 1.5205 12.9478 7.1399
Si 2.0323 2.8951 7.1362
Si 2.0989 13.3131 22.1109
Si 2.1499 8.1407 14.5580
Si 4.5670 8.0720 3.3406
Si 4.6757 13.2209 10.8493
Si 4.7066 2.9741 18.3136
Si 5.1718 2.5592 3.3562
Si 5.2272 13.0165 18.3483
Si 6.0081 5.2240 7.1039
Si 6.0270 10.3919 14.6012
Si 6.0615 15.6456 22.0505
Si 6.5453 10.6235 7.1059
Si 6.6031 5.5995 22.0731
Si 6.6621 0.3845 14.5607
S 0.1679 15.2371 18.3907
S 0.1571 4.7963 3.4226
S 0.1720 10.0441 10.8829
S 0.7450 15.5237 10.8821
S 1.4984 7.8519 22.0899
S 2.0768 12.6672 14.6309
S 2.0848 2.3873 22.1038
S 2.1156 7.4160 7.1642
S 4.6832 7.4932 18.3681
S 4.6611 12.5782 3.4240
S 4.6817 2.2972 10.8753
S 5.2595 7.7641 10.9049
S 6.5830 15.1620 7.1708
S 6.5904 4.9045 14.6313
S 6.6057 10.0919 22.1063
O 0.3594 2.7677 7.0450
O 0.4059 13.2294 21.9862
O 0.3930 8.0083 14.4683
O 0.4269 12.7208 8.4492
O 0.4908 3.0282 13.4594
O 0.5242 2.4183 16.0208
O 0.5556 7.5227 0.8523
O 0.6173 13.1510 5.8361
O 0.6686 2.6246 22.3015
O 0.6670 12.8887 14.8835
O 0.6769 7.6858 7.3381
O 0.7178 8.0203 20.8602
O 1.5054 0.1771 9.6527
O 1.5769 15.5548 18.5693
O 1.5568 5.0608 3.6396
O 1.5950 5.4656 17.0357
O 1.5915 10.2498 11.0597
O 1.6838 15.3759 12.0716
O 1.6888 10.0962 4.8013
O 1.6916 10.7126 2.2184
O 1.7968 5.0569 19.6559
O 1.8256 0.1232 3.2998
O 1.8709 10.5339 18.2716
O 1.8740 5.4262 10.7801
O 2.2799 11.8615 13.4475
O 2.2935 3.9196 8.5080
O 2.2968 14.1318 1.0679
O 2.3176 1.6288 20.8787
O 2.3249 6.5791 22.0167
O 2.3396 9.1119 15.9638
O 2.3384 6.6046 5.9964
O 2.3917 8.9967 22.2412
O 2.3758 11.5003 7.0582
O 2.3898 1.2166 14.4424
O 2.4586 14.2293 7.3083
O 2.5769 3.8286 14.7691
O 2.5802 8.9825 13.3134
O 2.6807 14.1305 20.8896
O 2.6653 3.6617 5.9230
O 2.6870 6.6519 14.7413
O 2.6975 1.4487 7.3846
O 2.7003 6.7884 8.4093
O 2.7037 1.5664 0.8573
O 2.7616 12.0257 15.8529
O 2.7896 14.0067 14.5571
O 2.8172 3.7329 22.0453
O 2.8012 8.7679 7.1007
O 2.8295 11.8848 22.2476
O 3.9246 8.8228 18.3112
O 3.9320 13.9098 3.3725
O 3.9697 1.5477 18.5044
O 3.9900 3.6628 10.8482
O 3.9963 11.9121 4.6095
O 4.0222 6.5946 3.5358
O 4.0629 6.8612 19.6039
O 4.0497 11.7677 11.0118
O 4.0523 1.6381 12.1164
O 4.1422 3.7047 17.0275
O 4.1764 14.0771 9.6350
O 4.1756 8.8765 2.0534
O 4.1919 3.8063 3.5281
O 4.2650 14.2791 18.4957
O 4.3123 1.1265 3.2633
O 4.3611 11.5647 18.2781
O 4.3517 14.1975 12.2608
O 4.3507 1.5439 9.6810
O 4.3614 8.8985 11.0622
O 4.3975 3.9636 19.6896
O 4.3806 9.0723 4.6978
O 4.4327 6.6962 17.1889
O 4.4522 6.4809 10.8446
O 4.4660 11.8225 2.1955
O 4.8750 5.4670 21.9871
O 4.8880 10.5113 7.0231
O 4.9025 0.2685 14.4743
O 4.9402 4.9840 8.4247
O 4.9402 15.2363 0.9104
O 5.0101 10.7771 13.4664
O 5.0565 10.1684 16.0228
O 5.1646 0.4041 20.7506
O 5.1803 10.3549 22.2457
O 5.1804 5.1345 14.8751
O 5.1772 15.4975 7.3432
O 5.1755 5.3557 5.7654
O 6.0699 7.9294 9.7099
O 6.0920 7.8130 18.5466
O 6.0786 12.8064 3.6560
O 6.1039 2.4930 11.0470
O 6.1106 2.7993 2.0964
O 6.1485 13.1876 17.0592
O 6.1656 7.6036 12.1216
O 6.2135 2.3732 4.7363
O 6.2705 12.7638 19.6984
O 6.3404 7.9458 3.2742
O 6.3663 2.7883 18.2652
O 6.3973 13.1538 10.7817
O 6.7935 4.1015 13.4462
O 6.8257 14.3714 5.9818
O 6.8573 1.3622 15.9608
O 6.8604 11.6601 8.4484
O 6.9132 9.3480 20.9007
O 6.9004 3.7472 7.0587
O 6.8981 6.3839 1.0404
O 6.9218 8.9754 14.4456
O 6.9312 14.1954 21.9692
O 7.1018 1.3247 22.2264
O 7.1014 6.4091 20.8302
O 7.1031 11.5883 14.7651
O 7.0932 1.2216 13.3123
O 7.0970 6.3862 7.2738
O 7.1356 11.3180 5.8019
O 7.1708 4.1134 22.2367
O 7.1713 9.2945 0.9079
O 7.2128 14.4106 14.7497
O 7.2171 14.5439 8.3948
O 7.2699 4.2675 15.8538
O 7.2991 11.4638 22.0799
O 7.3130 6.2421 14.5516
O 7.3038 9.2330 7.3806
O 7.3211 0.9931 7.0910
O 8.4399 1.0622 18.3107
O 8.4588 6.1546 3.3415
O 8.5061 11.4044 10.8489
O 8.5464 9.2818 18.5757
O 8.5202 4.1960 4.6670
O 8.5487 4.0275 10.9925
O 8.5718 9.3953 12.1320
O 8.5595 14.3281 3.5375
O 8.5848 14.6265 19.6357
O 8.6596 11.3898 17.0100
O 8.6727 11.5109 3.5603
O 8.7176 6.2513 9.5143
O 8.7105 1.0247 2.0259
O 8.7982 6.5518 18.5176
O 8.8302 6.4736 12.1846
O 8.8508 1.2612 4.7223
O 8.8791 3.8223 18.2834
O 8.8566 8.9092 3.2060
O 8.8717 1.1498 11.0499
O 8.8798 9.2700 9.7023
O 8.9143 11.7318 19.6548
O 8.9159 4.0083 2.2497
O 8.9525 14.4320 17.2143
O 8.9734 14.2468 10.8404
```